1.
The following is a DFT calculation (PBE-GGA) of MgMoWS4 after structural relaxation.

Geometry as POSCAR:
```
MgMoWS4
1.0
3.187 0.000 0.000
1.593 2.760 0.000
0.000 0.000 22.350
Mg Mo W S
1 1 1 4
Cartesian
0.000 0.000 0.000
4.548 2.759 14.513
1.361 0.919 7.786
1.361 0.919 12.949
1.361 0.919 16.078
4.548 2.759 6.214
4.548 2.759 9.358
```

Output
**Raw total energy**: -6.623 eV per atom
**ΔE_f**: -6.4 eV per formula unit
**Symmetry**: P1 (1)
**E above lowest polymorph**: 49 meV/atom

=====

2.
The following is a DFT calculation (PBE-GGA) of LiBi2As2Pb2O10 after structural relaxation.

Geometry as POSCAR:
```
LiBi2As2Pb2O10
1.0
5.812 0.000 0.000
-0.706 7.278 0.000
-2.716 -3.098 6.641
Li Bi As Pb O
1 2 2 2 10
Cartesian
0.000 0.000 0.000
1.873 3.992 3.735
2.953 0.264 4.581
-0.273 1.940 2.215
-0.429 2.294 6.601
-0.945 5.901 2.527
-0.006 -1.531 6.299
-0.292 1.875 0.471
-1.613 -1.541 4.389
-0.254 3.598 2.824
-1.747 3.394 6.363
-0.783 0.821 5.735
1.205 1.279 2.817
1.417 -1.514 4.292
2.542 4.977 1.662
1.001 3.091 5.938
4.091 1.084 2.731
```

Output
**Raw total energy**: -5.716 eV per atom
**ΔE_f**: -28.1 eV per formula unit
**Symmetry**: P1 (1)
**E above lowest polymorph**: 20 meV/atom